Record 1
First-principles (PBE) data for a relaxed structure of Na18Nb20Zn4Si27S9O144, as listed in Materials Project.

Lattice parameters (Å, degrees): 8.955 15.520 22.841 89.80 89.93 89.94
Element x y z (fractional)
Na  0.000  0.000  0.000
Na  0.000  0.337  0.829
Na  0.193  0.821  0.753
Na  0.300  0.321  0.252
Na  0.493  0.839  0.325
Na  0.495  0.169  0.665
Na  0.496  0.501  0.498
Na  0.497  0.505  0.003
Na  0.499  0.163  0.171
Na  0.500  0.832  0.831
Na  0.623  0.998  0.747
Na  0.695  0.321  0.748
Na  0.797  0.821  0.245
Na  0.869  0.499  0.245
Na  0.993  0.668  0.674
Na  0.994  0.332  0.326
Na  0.995  0.005  0.501
Na  0.998  0.671  0.163
Nb  0.491  0.167  0.020
Nb  0.494  0.167  0.817
Nb  0.495  0.168  0.313
Nb  0.495  0.504  0.357
Nb  0.497  0.845  0.980
Nb  0.504  0.171  0.522
Nb  0.504  0.512  0.860
Nb  0.504  0.845  0.476
Nb  0.506  0.507  0.650
Nb  0.507  0.506  0.151
Nb  0.985  0.006  0.652
Nb  0.987  0.338  0.477
Nb  0.987  0.344  0.977
Nb  0.989  0.671  0.022
Nb  0.990  0.011  0.358
Nb  0.995  0.007  0.145
Nb  0.997  0.669  0.815
Nb  0.998  0.003  0.858
Nb  0.999  0.668  0.316
Nb  0.999  0.672  0.518
Zn  0.503  0.842  0.693
Zn  0.513  0.845  0.186
Zn  0.980  0.336  0.689
Zn  0.989  0.341  0.192
Si  0.138  0.150  0.251
Si  0.142  0.814  0.919
Si  0.143  0.530  0.919
Si  0.203  0.172  0.919
Si  0.210  0.507  0.251
Si  0.283  0.008  0.751
Si  0.290  0.672  0.418
Si  0.349  0.031  0.419
Si  0.353  0.314  0.419
Si  0.353  0.650  0.751
Si  0.354  0.982  0.089
Si  0.634  0.315  0.918
Si  0.636  0.654  0.254
Si  0.641  0.982  0.589
Si  0.642  0.358  0.254
Si  0.645  0.026  0.919
Si  0.704  0.338  0.587
Si  0.705  0.005  0.252
Si  0.709  0.676  0.918
Si  0.780  0.172  0.417
Si  0.786  0.837  0.088
Si  0.793  0.505  0.754
Si  0.848  0.527  0.419
Si  0.850  0.857  0.754
Si  0.853  0.482  0.089
Si  0.855  0.153  0.755
Si  0.856  0.817  0.416
S  0.140  0.194  0.586
S  0.141  0.484  0.586
S  0.141  0.862  0.253
S  0.205  0.837  0.585
S  0.287  0.338  0.085
S  0.351  0.362  0.752
S  0.352  0.693  0.086
S  0.643  0.693  0.585
S  0.850  0.195  0.085
O  0.060  0.775  0.258
O  0.063  0.572  0.861
O  0.065  0.767  0.975
O  0.067  0.433  0.928
O  0.067  0.910  0.911
O  0.069  0.901  0.199
O  0.070  0.099  0.309
O  0.070  0.107  0.589
O  0.073  0.573  0.578
O  0.074  0.246  0.246
O  0.076  0.237  0.533
O  0.077  0.446  0.639
O  0.103  0.258  0.930
O  0.103  0.759  0.577
O  0.104  0.086  0.912
O  0.104  0.594  0.258
O  0.107  0.087  0.194
O  0.108  0.423  0.250
O  0.108  0.913  0.306
O  0.109  0.916  0.588
O  0.112  0.432  0.532
O  0.112  0.756  0.859
O  0.113  0.588  0.977
O  0.117  0.245  0.639
O  0.169  0.996  0.092
O  0.170  0.656  0.758
O  0.172  0.015  0.411
O  0.173  0.326  0.432
O  0.174  0.996  0.808
O  0.175  0.022  0.693
O  0.177  0.659  0.476
O  0.178  0.687  0.363
O  0.186  0.681  0.079
O  0.188  0.348  0.033
O  0.191  0.351  0.744
O  0.204  0.323  0.140
O  0.288  0.822  0.640
O  0.300  0.849  0.247
O  0.303  0.846  0.533
O  0.305  0.183  0.579
O  0.307  0.495  0.590
O  0.314  0.158  0.975
O  0.314  0.188  0.862
O  0.318  0.522  0.193
O  0.319  0.495  0.309
O  0.321  0.157  0.258
O  0.321  0.515  0.910
O  0.322  0.823  0.928
O  0.375  0.742  0.139
O  0.377  0.256  0.360
O  0.381  0.088  0.477
O  0.381  0.413  0.805
O  0.382  0.418  0.088
O  0.384  0.923  0.749
O  0.385  0.924  0.029
O  0.386  0.586  0.693
O  0.389  0.261  0.077
O  0.389  0.586  0.414
O  0.389  0.758  0.431
O  0.390  0.095  0.757
O  0.417  0.733  0.033
O  0.419  0.745  0.745
O  0.422  0.604  0.090
O  0.424  0.403  0.698
O  0.424  0.597  0.807
O  0.425  0.081  0.077
O  0.425  0.943  0.146
O  0.426  0.410  0.412
O  0.426  0.934  0.428
O  0.428  0.267  0.475
O  0.430  0.072  0.362
O  0.431  0.276  0.756
O  0.550  0.267  0.257
O  0.561  0.407  0.196
O  0.563  0.410  0.910
O  0.564  0.747  0.250
O  0.564  0.933  0.925
O  0.565  0.268  0.976
O  0.567  0.072  0.861
O  0.569  0.078  0.577
O  0.571  0.944  0.647
O  0.572  0.600  0.311
O  0.573  0.604  0.590
O  0.578  0.732  0.532
O  0.591  0.256  0.576
O  0.594  0.426  0.592
O  0.599  0.757  0.927
O  0.602  0.421  0.309
O  0.603  0.919  0.530
O  0.606  0.088  0.975
O  0.606  0.588  0.912
O  0.608  0.919  0.253
O  0.609  0.094  0.259
O  0.609  0.257  0.859
O  0.616  0.587  0.197
O  0.618  0.743  0.639
O  0.666  0.492  0.091
O  0.668  0.159  0.759
O  0.671  0.517  0.415
O  0.673  0.490  0.808
O  0.674  0.824  0.427
O  0.674  0.850  0.030
O  0.674  0.853  0.751
O  0.676  0.516  0.696
O  0.678  0.189  0.361
O  0.681  0.157  0.476
O  0.685  0.183  0.078
O  0.706  0.815  0.148
O  0.791  0.321  0.647
O  0.809  0.680  0.578
O  0.813  0.657  0.976
O  0.815  0.687  0.861
O  0.818  0.324  0.927
O  0.819  0.351  0.530
O  0.819  0.354  0.251
O  0.820  0.016  0.195
O  0.822  0.993  0.309
O  0.823  0.018  0.914
O  0.823  0.658  0.260
O  0.828  0.993  0.590
O  0.876  0.244  0.138
O  0.877  0.087  0.696
O  0.882  0.757  0.359
O  0.884  0.595  0.757
O  0.889  0.088  0.413
O  0.889  0.419  0.031
O  0.889  0.588  0.476
O  0.890  0.921  0.809
O  0.891  0.256  0.428
O  0.891  0.420  0.750
O  0.892  0.925  0.093
O  0.902  0.756  0.075
O  0.917  0.234  0.032
O  0.919  0.106  0.089
O  0.920  0.099  0.811
O  0.921  0.444  0.148
O  0.924  0.578  0.077
O  0.926  0.767  0.475
O  0.927  0.572  0.361
O  0.928  0.246  0.751
O  0.930  0.911  0.412
O  0.931  0.907  0.696
O  0.932  0.434  0.428
O  0.943  0.767  0.757


Record 2
First-principles (PBE) data for a relaxed structure of Na12Nb10Zn2Si15S3O72, as listed in Materials Project.

Lattice parameters (Å, degrees): 9.008 9.010 22.733 89.99 89.88 60.03
Element x y z (fractional)
Na  0.000  0.000  0.000
Na  0.005  0.641  0.502
Na  0.047  0.297  0.422
Na  0.057  0.304  0.923
Na  0.355  0.972  0.843
Na  0.372  0.632  0.756
Na  0.378  0.635  0.258
Na  0.393  0.001  0.500
Na  0.694  0.985  0.088
Na  0.714  0.983  0.589
Na  0.721  0.316  0.843
Na  0.746  0.642  0.002
Nb  0.046  0.301  0.778
Nb  0.050  0.288  0.074
Nb  0.055  0.290  0.574
Nb  0.059  0.296  0.279
Nb  0.359  0.643  0.401
Nb  0.370  0.627  0.616
Nb  0.388  0.634  0.902
Nb  0.394  0.629  0.117
Nb  0.714  0.968  0.737
Nb  0.715  0.952  0.236
Zn  0.695  0.981  0.941
Zn  0.712  0.974  0.441
Si  0.001  0.963  0.845
Si  0.039  0.591  0.674
Si  0.045  0.007  0.177
Si  0.084  0.926  0.510
Si  0.340  0.298  0.175
Si  0.341  0.005  0.676
Si  0.383  0.925  0.009
Si  0.387  0.338  0.508
Si  0.421  0.255  0.843
Si  0.426  0.965  0.346
Si  0.671  0.337  0.009
Si  0.725  0.678  0.845
Si  0.756  0.299  0.675
Si  0.766  0.581  0.176
Si  0.992  0.677  0.345
S  0.098  0.626  0.010
S  0.668  0.625  0.509
S  0.714  0.257  0.342
O  0.016  0.127  0.117
O  0.020  0.498  0.615
O  0.024  0.482  0.334
O  0.032  0.128  0.833
O  0.070  0.466  0.730
O  0.076  0.103  0.232
O  0.079  0.470  0.013
O  0.081  0.111  0.514
O  0.183  0.646  0.063
O  0.192  0.654  0.348
O  0.196  0.800  0.565
O  0.198  0.794  0.849
O  0.201  0.111  0.014
O  0.201  0.336  0.514
O  0.202  0.604  0.956
O  0.213  0.607  0.670
O  0.213  0.819  0.167
O  0.215  0.832  0.451
O  0.218  0.327  0.232
O  0.219  0.096  0.733
O  0.229  0.281  0.831
O  0.230  0.127  0.333
O  0.241  0.269  0.118
O  0.247  0.128  0.617
O  0.346  0.833  0.951
O  0.352  0.471  0.167
O  0.355  0.470  0.452
O  0.359  0.818  0.666
O  0.391  0.801  0.065
O  0.400  0.443  0.566
O  0.408  0.445  0.850
O  0.413  0.786  0.349
O  0.485  0.135  0.899
O  0.494  0.001  0.406
O  0.526  0.992  0.682
O  0.527  0.130  0.184
O  0.544  0.146  0.507
O  0.545  0.658  0.849
O  0.548  0.446  0.066
O  0.548  0.943  0.287
O  0.549  0.169  0.785
O  0.558  0.433  0.347
O  0.558  0.927  0.009
O  0.563  0.646  0.562
O  0.569  0.471  0.667
O  0.572  0.608  0.170
O  0.575  0.464  0.951
O  0.588  0.603  0.456
O  0.679  0.805  0.788
O  0.686  0.178  0.289
O  0.687  0.778  0.507
O  0.706  0.145  0.009
O  0.740  0.128  0.681
O  0.741  0.774  0.182
O  0.743  0.158  0.396
O  0.753  0.745  0.906
O  0.844  0.470  0.514
O  0.845  0.325  0.734
O  0.856  0.462  0.232
O  0.857  0.337  0.014
O  0.867  0.280  0.334
O  0.872  0.994  0.184
O  0.873  0.779  0.682
O  0.875  0.478  0.834
O  0.877  0.497  0.115
O  0.882  0.274  0.618
O  0.889  0.011  0.904
O  0.895  0.751  0.406
O  0.904  0.800  0.287
O  0.905  0.931  0.507
O  0.907  0.937  0.786
O  0.928  0.779  0.007


Record 3
First-principles (PBE) data for a relaxed structure of Na24Nb2Zn10Si9S9O72, as listed in Materials Project.

Lattice parameters (Å, degrees): 9.201 9.226 22.135 89.68 89.41 60.17
Element x y z (fractional)
Na  0.000  0.000  0.000
Na  0.000  0.377  0.241
Na  0.041  0.677  0.834
Na  0.051  0.025  0.321
Na  0.277  0.047  0.824
Na  0.281  0.425  0.317
Na  0.307  0.080  0.163
Na  0.317  0.710  0.909
Na  0.318  0.352  0.657
Na  0.319  0.719  0.401
Na  0.364  0.384  0.001
Na  0.367  0.005  0.491
Na  0.620  0.743  0.005
Na  0.622  0.379  0.496
Na  0.651  0.683  0.320
Na  0.653  0.047  0.574
Na  0.654  0.412  0.827
Na  0.662  0.047  0.080
Na  0.683  0.702  0.661
Na  0.694  0.355  0.162
Na  0.976  0.086  0.665
Na  0.980  0.693  0.162
Na  0.992  0.750  0.486
Na  0.999  0.362  0.747
Nb  0.649  0.064  0.728
Nb  0.658  0.032  0.224
Zn  0.005  0.360  0.892
Zn  0.008  0.381  0.386
Zn  0.316  0.722  0.255
Zn  0.323  0.711  0.089
Zn  0.328  0.714  0.761
Zn  0.352  0.706  0.576
Zn  0.663  0.060  0.920
Zn  0.664  0.028  0.408
Zn  0.996  0.379  0.104
Zn  0.997  0.361  0.597
Si  0.028  0.010  0.161
Si  0.328  0.007  0.662
Si  0.331  0.414  0.162
Si  0.356  0.351  0.834
Si  0.361  0.042  0.334
Si  0.620  0.706  0.162
Si  0.623  0.420  0.662
Si  0.961  0.039  0.832
Si  0.961  0.747  0.332
S  0.029  0.713  0.661
S  0.287  0.383  0.497
S  0.294  0.079  0.993
S  0.662  0.754  0.831
S  0.663  0.334  0.332
S  0.702  0.378  0.993
S  0.704  0.666  0.497
S  0.990  0.671  0.992
S  0.992  0.081  0.496
O  0.004  0.566  0.655
O  0.005  0.572  0.937
O  0.013  0.165  0.442
O  0.095  0.891  0.101
O  0.104  0.744  0.606
O  0.129  0.687  0.715
O  0.142  0.690  0.993
O  0.143  0.910  0.500
O  0.145  0.934  0.220
O  0.146  0.877  0.823
O  0.148  0.720  0.325
O  0.173  0.381  0.156
O  0.174  0.201  0.657
O  0.175  0.359  0.830
O  0.178  0.214  0.330
O  0.187  0.399  0.443
O  0.195  0.160  0.937
O  0.205  0.362  0.553
O  0.212  0.181  0.047
O  0.291  0.926  0.721
O  0.295  0.531  0.221
O  0.300  0.539  0.500
O  0.308  0.910  0.995
O  0.345  0.530  0.824
O  0.354  0.872  0.327
O  0.370  0.896  0.600
O  0.378  0.482  0.101
O  0.459  0.233  0.495
O  0.464  0.024  0.396
O  0.465  0.218  0.773
O  0.467  0.059  0.990
O  0.471  0.066  0.276
O  0.473  0.260  0.891
O  0.504  0.225  0.172
O  0.505  0.480  0.602
O  0.505  0.757  0.101
O  0.509  0.016  0.671
O  0.512  0.736  0.826
O  0.513  0.501  0.328
O  0.532  0.529  0.994
O  0.532  0.682  0.500
O  0.537  0.532  0.721
O  0.540  0.673  0.221
O  0.638  0.882  0.170
O  0.640  0.256  0.388
O  0.640  0.855  0.885
O  0.648  0.222  0.670
O  0.681  0.841  0.775
O  0.683  0.228  0.278
O  0.684  0.837  0.495
O  0.685  0.223  0.992
O  0.786  0.393  0.937
O  0.787  0.566  0.443
O  0.801  0.362  0.047
O  0.802  0.585  0.553
O  0.812  0.555  0.156
O  0.813  0.391  0.656
O  0.816  0.588  0.831
O  0.818  0.346  0.335
O  0.828  0.860  0.276
O  0.829  0.058  0.773
O  0.834  0.841  0.991
O  0.836  0.069  0.495
O  0.838  0.028  0.172
O  0.855  0.867  0.667
O  0.882  0.999  0.891
O  0.886  0.861  0.394
O  0.954  0.573  0.331
O  0.959  0.218  0.829
O  0.974  0.179  0.552
O  0.975  0.587  0.047
O  0.996  0.199  0.154


Number 1: V 14.30 A^3/atom, ΔH_f (0 K) -2764.9 meV per atom. Number 2: V 14.02 A^3/atom, ΔH_f (0 K) -2810.6 meV per atom. Number 3: V 12.94 A^3/atom, ΔH_f (0 K) -2307.6 meV per atom.